w:
Computed, not measured: crystalline Na3Co2O4 at its relaxed geometry at the GGA+U level of DFT.

abc: 5.6394 10.0923 8.6042
angles: 90.00 90.00 90.00
Space group Pnma (No. 62)
Inequivalent atoms, fractional coordinates:
Na 0.0391 0.1009 0.1461
Na 0.1374 0.2500 0.8221
Co 0.0443 0.1195 0.4869
O 0.1255 0.7500 0.6363
O 0.2036 0.5322 0.3992
O 0.2283 0.7500 0.0569

---

x:
Computed, not measured: crystalline Na3Co2O4 at its relaxed geometry at the GGA+U level of DFT.

abc: 5.7447 8.1030 10.5343
angles: 90.00 90.00 90.00
Space group Cmcm (No. 63)
Inequivalent atoms, fractional coordinates:
Na 0.0000 0.1461 0.0615
Na 0.0000 0.1837 0.7500
Co 0.0000 0.4322 0.2500
Co 0.0000 0.5000 0.0000
O 0.2213 0.4188 0.1141

---

Which structure loses on stability? w does.

---

w:
Computed, not measured: crystalline Na8Co5O14 at its relaxed geometry at the GGA+U level of DFT.

abc: 8.2636 8.4659 10.3221
angles: 103.75 103.29 112.55
Space group P-1 (No. 2)
Inequivalent atoms, fractional coordinates:
Na 0.0000 0.0000 0.0000
Na 0.0580 0.8339 0.4879
Na 0.0606 0.6239 0.9321
Na 0.1273 0.4847 0.3926
Na 0.2041 0.1354 0.3396
Na 0.2091 0.9164 0.7972
Na 0.3488 0.8522 0.3434
Na 0.3965 0.0256 0.1179
Na 0.5000 0.5000 0.5000
Co 0.1100 0.2656 0.8389
Co 0.2944 0.5664 0.7258
Co 0.3308 0.3947 0.1668
Co 0.3630 0.2476 0.6708
Co 0.4662 0.6636 0.0287
O 0.0664 0.4110 0.7404
O 0.1071 0.2652 0.1887
O 0.1091 0.8570 0.1503
O 0.1287 0.1039 0.6904
O 0.1937 0.6679 0.6253
O 0.2370 0.4894 0.0285
O 0.2499 0.3566 0.5647
O 0.2908 0.2134 0.9838
O 0.3370 0.0678 0.5228
O 0.3533 0.7546 0.9098
O 0.3953 0.5992 0.3180
O 0.4273 0.4625 0.8522
O 0.4589 0.3033 0.2715
O 0.4790 0.1615 0.8082

---

x:
Computed, not measured: crystalline Na8Co5O14 at its relaxed geometry at the GGA+U level of DFT.

abc: 8.2636 8.4659 10.3221
angles: 103.75 103.29 112.55
Space group P-1 (No. 2)
Inequivalent atoms, fractional coordinates:
Na 0.0000 0.0000 0.0000
Na 0.0121 0.4420 0.6661
Na 0.1074 0.3727 0.0153
Na 0.1566 0.1512 0.6478
Na 0.1604 0.2959 0.3646
Na 0.2972 0.7091 0.4164
Na 0.3821 0.1035 0.4744
Na 0.4321 0.5606 0.1239
Na 0.5000 0.5000 0.5000
Co 0.1708 0.8630 0.7476
Co 0.2258 0.7944 0.0664
Co 0.3332 0.1692 0.1053
Co 0.3389 0.6100 0.7656
Co 0.4713 0.0338 0.8364
O 0.0228 0.8370 0.5678
O 0.0647 0.7499 0.8566
O 0.1253 0.6937 0.1679
O 0.1820 0.1047 0.9008
O 0.1904 0.6287 0.6039
O 0.2285 0.0411 0.1967
O 0.2404 0.5664 0.9110
O 0.3082 0.9790 0.6615
O 0.3113 0.3929 0.2348
O 0.3497 0.3909 0.6430
O 0.3522 0.9273 0.9625
O 0.4098 0.8533 0.2546
O 0.4715 0.2630 0.0106
O 0.4838 0.7908 0.7134

---

Which structure loses on stability? x does.

---

w:
Computed, not measured: crystalline NaCoPO4 at its relaxed geometry at the GGA+U level of DFT.

abc: 5.2988 10.1379 9.1462
angles: 90.00 125.17 90.00
Space group P2_1/c (No. 14)
Inequivalent atoms, fractional coordinates:
Na 0.2000 0.1189 0.4842
Co 0.3048 0.6693 0.5079
P 0.4200 0.0989 0.2201
O 0.1159 0.1302 0.2022
O 0.3055 0.6442 0.0879
O 0.4189 0.1730 0.0718
O 0.4649 0.5518 0.7142

---

x:
Computed, not measured: crystalline NaCoPO4 at its relaxed geometry at the GGA+U level of DFT.

abc: 8.9750 6.8703 5.0798
angles: 90.00 90.00 90.00
Space group Pnma (No. 62)
Inequivalent atoms, fractional coordinates:
Na 0.1492 0.2500 0.0339
Co 0.0000 0.0000 0.5000
P 0.1764 0.7500 0.0393
O 0.1163 0.7500 0.7513
O 0.1220 0.5657 0.1848
O 0.1478 0.2500 0.5503

---

y:
Computed, not measured: crystalline NaCoPO4 at its relaxed geometry at the GGA+U level of DFT.

abc: 10.2922 6.2791 5.0049
angles: 90.00 90.00 90.00
Space group Pnma (No. 62)
Inequivalent atoms, fractional coordinates:
Na 0.0000 0.0000 0.0000
Co 0.2194 0.2500 0.4903
P 0.1062 0.7500 0.4335
O 0.0382 0.2500 0.6624
O 0.1139 0.7500 0.7413
O 0.1756 0.5539 0.2990

---

Which structure loses on stability? y does.